{"formula": "LiFeSiO4", "functional": "GGA+U", "state": "optimized geometry", "lattice_angstrom": [[10.957, 0.000, 0.000], [-5.478, 9.489, 0.000], [0.000, 0.000, 11.665]], "species": ["Li", "Li", "Li", "Li", "Li", "Li", "Li", "Li", "Li", "Li", "Li", "Li", "Fe", "Fe", "Fe", "Fe", "Fe", "Fe", "Fe", "Fe", "Fe", "Fe", "Fe", "Fe", "Si", "Si", "Si", "Si", "Si", "Si", "Si", "Si", "Si", "Si", "Si", "Si", "O", "O", "O", "O", "O", "O", "O", "O", "O", "O", "O", "O", "O", "O", "O", "O", "O", "O", "O", "O", "O", "O", "O", "O", "O", "O", "O", "O", "O", "O", "O", "O", "O", "O", "O", "O", "O", "O", "O", "O", "O", "O", "O", "O", "O", "O", "O", "O"], "frac_coords": [[0.000, 0.000, 0.000], [0.000, 0.000, 0.333], [0.000, 0.000, 0.667], [0.000, 0.500, 0.158], [0.000, 0.500, 0.509], [0.000, 0.500, 0.833], [0.500, 0.000, 0.176], [0.500, 0.000, 0.500], [0.500, 0.000, 0.824], [0.500, 0.500, 0.167], [0.500, 0.500, 0.491], [0.500, 0.500, 0.842], [0.000, 0.250, 0.833], [0.000, 0.750, 0.833], [0.247, 0.494, 0.500], [0.247, 0.753, 0.167], [0.250, 0.000, 0.500], [0.250, 0.250, 0.167], [0.494, 0.247, 0.833], [0.506, 0.753, 0.833], [0.750, 0.000, 0.500], [0.750, 0.750, 0.167], [0.753, 0.247, 0.167], [0.753, 0.506, 0.500], [0.000, 0.252, 0.333], [0.000, 0.748, 0.333], [0.252, 0.000, 0.000], [0.252, 0.252, 0.667], [0.252, 0.505, 0.000], [0.252, 0.748, 0.667], [0.495, 0.748, 0.333], [0.505, 0.252, 0.333], [0.748, 0.000, 0.000], [0.748, 0.252, 0.667], [0.748, 0.495, 0.000], [0.748, 0.748, 0.667], [0.073, 0.382, 0.426], [0.073, 0.691, 0.240], [0.100, 0.204, 0.730], [0.100, 0.897, 0.937], [0.103, 0.204, 0.270], [0.103, 0.900, 0.397], [0.119, 0.418, 0.911], [0.119, 0.702, 0.755], [0.197, 0.594, 0.076], [0.197, 0.602, 0.591], [0.204, 0.100, 0.603], [0.204, 0.103, 0.063], [0.298, 0.418, 0.089], [0.298, 0.881, 0.578], [0.309, 0.382, 0.574], [0.309, 0.927, 0.093], [0.382, 0.073, 0.907], [0.382, 0.309, 0.760], [0.398, 0.594, 0.924], [0.398, 0.803, 0.743], [0.406, 0.602, 0.409], [0.406, 0.803, 0.257], [0.418, 0.119, 0.422], [0.418, 0.298, 0.245], [0.582, 0.702, 0.245], [0.582, 0.881, 0.422], [0.594, 0.197, 0.257], [0.594, 0.398, 0.409], [0.602, 0.197, 0.743], [0.602, 0.406, 0.924], [0.618, 0.691, 0.760], [0.618, 0.927, 0.907], [0.691, 0.073, 0.093], [0.691, 0.618, 0.574], [0.702, 0.119, 0.578], [0.702, 0.582, 0.089], [0.796, 0.897, 0.063], [0.796, 0.900, 0.603], [0.803, 0.398, 0.591], [0.803, 0.406, 0.076], [0.881, 0.298, 0.755], [0.881, 0.582, 0.911], [0.897, 0.100, 0.397], [0.897, 0.796, 0.270], [0.900, 0.103, 0.937], [0.900, 0.796, 0.730], [0.927, 0.309, 0.240], [0.927, 0.618, 0.426]], "total_magnetization_mub_per_atom": 0.71, "formation_enthalpy_0k_ev_per_atom": -2.496, "energy_ev_per_atom": -6.866, "space_group": "No. 181", "polymorph_energy_mev_per_atom": 40.6}